<1>
DFT (r²SCAN) results for a geometry-optimized Y2MgS4 structure.

a = 7.8783 Å, b = 7.8783 Å, c = 7.8783 Å
α = 60.00°, β = 60.00°, γ = 60.00°
Closest atoms and distances in Å follow each position.
Fractional coordinates of all 14 atoms:
Y1 0.0000 0.0000 0.0000  6 S 2.74
Y2 0.0000 0.0000 0.5000  6 S 2.74
Y3 0.0000 0.5000 0.0000  6 S 2.74
Y4 0.5000 0.0000 0.0000  6 S 2.74
Mg1 0.3750 0.3750 0.3750  4 S 2.50
Mg2 0.6250 0.6250 0.6250  4 S 2.50
S1 0.2364 0.7545 0.7545  1 Mg 2.50, 3 Y 2.74
S2 0.2455 0.2455 0.2455  1 Mg 2.50, 3 Y 2.74
S3 0.2455 0.2455 0.7636  1 Mg 2.50, 3 Y 2.74
S4 0.2455 0.7636 0.2455  1 Mg 2.50, 3 Y 2.74
S5 0.7545 0.2364 0.7545  1 Mg 2.50, 3 Y 2.74
S6 0.7545 0.7545 0.2364  1 Mg 2.50, 3 Y 2.74
S7 0.7545 0.7545 0.7545  1 Mg 2.50, 3 Y 2.74
S8 0.7636 0.2455 0.2455  1 Mg 2.50, 3 Y 2.74


<2>
DFT (r²SCAN) results for a geometry-optimized Y2MgS4 structure.

a = 13.4870 Å, b = 7.8803 Å, c = 6.5126 Å
α = 90.00°, β = 90.00°, γ = 90.00°
Closest atoms and distances in Å follow each position.
Fractional coordinates of all 28 atoms:
Y1 0.0000 0.0000 0.0000  6 S 2.70-2.77
Y2 0.0000 0.5000 0.0000  6 S 2.70-2.77
Y3 0.2317 0.2500 0.4945  6 S 2.72-2.81
Y4 0.2683 0.7500 0.9945  6 S 2.72-2.81
Y5 0.5000 0.0000 0.5000  6 S 2.70-2.77
Y6 0.5000 0.5000 0.5000  6 S 2.70-2.77
Y7 0.7317 0.2500 0.0055  6 S 2.72-2.81
Y8 0.7683 0.7500 0.5055  6 S 2.72-2.81
Mg1 0.0945 0.7500 0.4218  4 S 2.38-2.47
Mg2 0.4055 0.2500 0.9218  4 S 2.38-2.47
Mg3 0.5945 0.7500 0.0782  4 S 2.38-2.47
Mg4 0.9055 0.2500 0.5782  4 S 2.38-2.47
S1 0.0699 0.2500 0.7447  1 Mg 2.47, 3 Y 2.72-2.74
S2 0.0907 0.7500 0.7878  1 Mg 2.38
S3 0.1693 0.5097 0.2393  1 Mg 2.45
S4 0.1693 0.9903 0.2393  1 Mg 2.45
S5 0.3307 0.0097 0.7393  1 Mg 2.45
S6 0.3307 0.4903 0.7393  1 Mg 2.45
S7 0.4093 0.2500 0.2878  1 Mg 2.38
S8 0.4301 0.7500 0.2447  1 Mg 2.47, 3 Y 2.72-2.74
S9 0.5699 0.2500 0.7553  1 Mg 2.47, 3 Y 2.72-2.74
S10 0.5907 0.7500 0.7122  1 Mg 2.38
S11 0.6693 0.5097 0.2607  1 Mg 2.45
S12 0.6693 0.9903 0.2607  1 Mg 2.45
S13 0.8307 0.0097 0.7607  1 Mg 2.45
S14 0.8307 0.4903 0.7607  1 Mg 2.45
S15 0.9093 0.2500 0.2122  1 Mg 2.38
S16 0.9301 0.7500 0.2553  1 Mg 2.47, 3 Y 2.72-2.74


Stability, highest: <1>


<1>
DFT (r²SCAN) results for a geometry-optimized MgSc2Se4 structure.

a = 7.5981 Å, b = 7.5981 Å, c = 7.5981 Å
α = 105.63°, β = 105.63°, γ = 117.47°
Closest atoms and distances in Å follow each position.
Fractional coordinates of all 14 atoms:
Mg1 0.0000 0.0000 0.0000  4 Se 2.61
Mg2 0.7500 0.2500 0.5000  4 Se 2.61
Sc1 0.1412 0.6250 0.0162  6 Se 2.68-2.75
Sc2 0.3750 0.3912 0.5162  6 Se 2.68-2.75
Sc3 0.6088 0.1250 0.9838  6 Se 2.68-2.75
Sc4 0.8750 0.8588 0.4838  6 Se 2.68-2.75
Se1 0.0625 0.3743 0.2132  1 Mg 2.61, 3 Sc 2.68-2.75
Se2 0.1243 0.3125 0.7132  1 Mg 2.61, 3 Sc 2.68-2.75
Se3 0.1507 0.9375 0.3118  1 Mg 2.61, 3 Sc 2.68-2.75
Se4 0.1611 0.8493 0.7868  1 Mg 2.61, 3 Sc 2.68-2.75
Se5 0.5889 0.8757 0.1882  1 Mg 2.61, 3 Sc 2.68-2.75
Se6 0.5993 0.4111 0.2868  1 Mg 2.61, 3 Sc 2.68-2.75
Se7 0.6257 0.8389 0.6882  1 Mg 2.61, 3 Sc 2.68-2.75
Se8 0.6875 0.4007 0.8118  1 Mg 2.61, 3 Sc 2.68-2.75


<2>
DFT (r²SCAN) results for a geometry-optimized MgSc2Se4 structure.

a = 7.9071 Å, b = 7.9071 Å, c = 7.9071 Å
α = 60.00°, β = 60.00°, γ = 60.00°
Closest atoms and distances in Å follow each position.
Fractional coordinates of all 14 atoms:
Mg1 0.1250 0.1250 0.1250  4 Se 2.56
Mg2 0.8750 0.8750 0.8750  4 Se 2.56
Sc1 0.0000 0.5000 0.5000  6 Se 2.72
Sc2 0.5000 0.0000 0.5000  6 Se 2.72
Sc3 0.5000 0.5000 0.0000  6 Se 2.72
Sc4 0.5000 0.5000 0.5000  6 Se 2.72
Se1 0.2573 0.2573 0.2573  1 Mg 2.56, 3 Sc 2.72
Se2 0.2573 0.2573 0.7280  1 Mg 2.56, 3 Sc 2.72
Se3 0.2573 0.7280 0.2573  1 Mg 2.56, 3 Sc 2.72
Se4 0.2720 0.7427 0.7427  1 Mg 2.56, 3 Sc 2.72
Se5 0.7280 0.2573 0.2573  1 Mg 2.56, 3 Sc 2.72
Se6 0.7427 0.2720 0.7427  1 Mg 2.56, 3 Sc 2.72
Se7 0.7427 0.7427 0.2720  1 Mg 2.56, 3 Sc 2.72
Se8 0.7427 0.7427 0.7427  1 Mg 2.56, 3 Sc 2.72


Stability, highest: <2>